Entry from the Materials Project database: crystalline HoHfF7 at its relaxed geometry (PBE-GGA).

Structure (extended XYZ):
```
18
Lattice="6.036 0.000 0.000 0.000 5.731 0.000 -1.826 0.000 8.051" Properties=species:S:1:pos:R:3 pbc="T T T"
Ho 0.600 0.000 1.491
Ho 3.610 2.865 6.559
Hf 0.555 5.672 5.829
Hf 3.655 2.807 2.222
F 0.223 1.737 0.175
F -1.023 1.178 5.727
F -0.600 4.015 5.774
F 0.666 5.729 3.833
F 0.415 5.686 7.831
F 2.093 1.535 2.177
F 2.279 4.285 2.083
F 1.931 1.419 5.968
F 2.117 4.400 5.873
F 3.795 2.821 0.220
F 3.544 2.863 4.218
F 4.810 1.149 2.276
F 5.232 4.043 2.324
F 3.987 4.603 7.876
```

energy of formation from the pure elements = -4.32 eV per atom
space-group type = P2_1, No. 4
total energy = -7.07 eV per atom


Entry from the Materials Project database: crystalline Zr14Cu51 at its relaxed geometry (PBE-GGA).

Structure (extended XYZ):
```
65
Lattice="11.267 0.000 0.000 -5.634 9.758 0.000 0.000 0.000 8.337" Properties=species:S:1:pos:R:3 pbc="T T T"
Zr 0.000 0.000 1.573
Zr 0.000 0.000 6.765
Zr -2.825 7.120 4.169
Zr -1.041 4.615 0.000
Zr 0.880 3.752 4.169
Zr -1.117 8.352 0.000
Zr 3.773 1.121 4.169
Zr 3.450 3.188 0.000
Zr 2.158 6.549 0.000
Zr 1.945 8.644 4.169
Zr 6.781 1.394 0.000
Zr 4.718 5.930 4.169
Zr 6.669 5.176 0.000
Zr 8.410 2.707 4.169
Cu -0.553 1.301 4.169
Cu -3.961 7.986 0.000
Cu -0.675 2.645 2.117
Cu -0.675 2.645 6.220
Cu -2.592 6.509 1.426
Cu -2.592 6.509 6.911
Cu -1.496 4.852 2.900
Cu -1.496 4.852 5.438
Cu -4.230 9.586 4.169
Cu 0.699 2.335 0.000
Cu -3.005 9.020 2.117
Cu -3.005 9.020 6.220
Cu 2.376 0.583 0.000
Cu 1.876 1.840 2.235
Cu 1.876 1.840 6.103
Cu 1.293 4.258 1.426
Cu 1.293 4.258 6.911
Cu 0.000 6.505 1.731
Cu 0.000 6.505 4.169
Cu 0.000 6.505 6.607
Cu -0.684 8.628 2.900
Cu -0.684 8.628 5.438
Cu 4.356 1.022 1.422
Cu 4.356 1.022 6.915
Cu 3.427 3.687 2.894
Cu 3.427 3.687 5.443
Cu 2.180 6.036 2.900
Cu 2.180 6.036 5.438
Cu 1.300 8.748 1.426
Cu 1.300 8.748 6.911
Cu 6.361 1.124 2.894
Cu 6.361 1.124 5.443
Cu 4.340 5.474 1.422
Cu 4.340 5.474 6.915
Cu 5.634 3.253 1.727
Cu 5.634 3.253 4.169
Cu 5.634 3.253 6.610
Cu 3.681 7.850 2.117
Cu 3.681 7.850 6.220
Cu 3.263 9.196 0.000
Cu 8.736 0.705 2.235
Cu 8.736 0.705 6.103
Cu 4.951 7.408 0.000
Cu 4.783 8.628 4.169
Cu 7.114 4.947 2.894
Cu 7.114 4.947 5.443
Cu 8.204 3.262 1.422
Cu 8.204 3.262 6.915
Cu 6.289 7.213 2.235
Cu 6.289 7.213 6.103
Cu 9.574 1.766 0.000
```

energy of formation from the pure elements = -0.16 eV per atom
space-group type = P-6, No. 174
total energy = -5.22 eV per atom


Entry from the Materials Project database: crystalline BaZn2Ge2 at its relaxed geometry (PBE-GGA).

Structure (extended XYZ):
```
5
Lattice="-2.290 2.290 5.349 2.290 -2.290 5.349 2.290 2.290 -5.349" Properties=species:S:1:pos:R:3 pbc="T T T"
Ba 0.000 0.000 0.000
Zn 2.290 0.000 2.675
Zn 0.000 2.290 2.675
Ge 0.000 0.000 4.024
Ge 0.000 0.000 6.675
```

energy of formation from the pure elements = -0.39 eV per atom
space-group type = I4/mmm, No. 139
total energy = -3.12 eV per atom